# 1
First-principles (PBE+U) data for a relaxed structure of CoH8Br2O4, as listed in Materials Project.

Unit cell a=6.122 b=7.596 c=8.652 alpha=90.00 beta=110.28 gamma=90.00
Element x y z (fractional)
Co (0.000, 0.000, 0.000)
Co (0.000, 0.500, 0.500)
H (0.096, 0.069, 0.715)
H (0.096, 0.431, 0.215)
H (0.109, 0.071, 0.333)
H (0.109, 0.429, 0.833)
H (0.369, 0.702, 0.497)
H (0.369, 0.798, 0.997)
H (0.383, 0.682, 0.679)
H (0.383, 0.818, 0.179)
H (0.617, 0.182, 0.821)
H (0.617, 0.318, 0.321)
H (0.631, 0.202, 0.003)
H (0.631, 0.298, 0.503)
H (0.891, 0.571, 0.167)
H (0.891, 0.929, 0.667)
H (0.904, 0.569, 0.785)
H (0.904, 0.931, 0.285)
Br (0.301, 0.230, 0.576)
Br (0.301, 0.270, 0.076)
Br (0.699, 0.730, 0.924)
Br (0.699, 0.770, 0.424)
O (0.008, 0.502, 0.741)
O (0.008, 0.998, 0.241)
O (0.272, 0.684, 0.565)
O (0.272, 0.816, 0.065)
O (0.728, 0.184, 0.935)
O (0.728, 0.316, 0.435)
O (0.992, 0.002, 0.759)
O (0.992, 0.498, 0.259)

Properties
Formation enthalpy at 0 K: -1.05 eV per atom
V: 12.58 Å³ per atom
Total magnetization: 0.07 μB/atom


# 2
First-principles (PBE+U) data for a relaxed structure of Li8Mn3Fe5B8O24, as listed in Materials Project.

Unit cell a=5.229 b=6.029 c=16.200 alpha=81.61 beta=89.18 gamma=88.93
Element x y z (fractional)
Li (0.000, 0.000, 0.000)
Li (0.000, 0.498, 0.503)
Li (0.194, 0.379, 0.032)
Li (0.195, 0.875, 0.534)
Li (0.498, 0.747, 0.753)
Li (0.500, 0.246, 0.253)
Li (0.695, 0.127, 0.784)
Li (0.695, 0.626, 0.285)
Mn (0.017, 0.086, 0.184)
Mn (0.516, 0.332, 0.434)
Mn (0.677, 0.537, 0.103)
Fe (0.011, 0.588, 0.682)
Fe (0.182, 0.288, 0.850)
Fe (0.186, 0.785, 0.352)
Fe (0.514, 0.841, 0.935)
Fe (0.679, 0.034, 0.605)
B (0.016, 0.775, 0.845)
B (0.019, 0.274, 0.346)
B (0.177, 0.100, 0.689)
B (0.178, 0.597, 0.192)
B (0.515, 0.028, 0.094)
B (0.519, 0.524, 0.597)
B (0.677, 0.352, 0.939)
B (0.679, 0.848, 0.441)
O (0.028, 0.730, 0.240)
O (0.033, 0.232, 0.738)
O (0.057, 0.988, 0.632)
O (0.060, 0.482, 0.135)
O (0.135, 0.392, 0.403)
O (0.142, 0.890, 0.901)
O (0.162, 0.642, 0.797)
O (0.169, 0.140, 0.300)
O (0.254, 0.049, 0.081)
O (0.258, 0.549, 0.586)
O (0.439, 0.576, 0.205)
O (0.440, 0.076, 0.701)
O (0.529, 0.485, 0.987)
O (0.533, 0.978, 0.490)
O (0.552, 0.235, 0.883)
O (0.554, 0.737, 0.384)
O (0.635, 0.141, 0.151)
O (0.642, 0.639, 0.654)
O (0.664, 0.895, 0.046)
O (0.665, 0.392, 0.550)
O (0.755, 0.800, 0.833)
O (0.758, 0.297, 0.332)
O (0.937, 0.326, 0.951)
O (0.939, 0.824, 0.452)

Properties
Formation enthalpy at 0 K: -2.38 eV per atom
V: 10.52 Å³ per atom
Distance to the lowest polymorph of the same formula: 14 meV/atom
Total magnetization: 0.73 μB/atom